No. 1
Below is Zr4Ir2N after structural relaxation, with properties calculated at the PBE-GGA level.

Structure (POSCAR):
```
Zr4Ir2N
1.0
0.0000 6.2478 6.2478
6.2478 0.0000 6.2478
6.2478 6.2478 0.0000
Zr Ir N
16 8 4
Direct
0.1250 0.6250 0.6250 Zr
0.0658 0.4342 0.0658 Zr
0.0658 0.0658 0.4342 Zr
0.4342 0.4342 0.0658 Zr
0.8158 0.1842 0.8158 Zr
0.4342 0.0658 0.4342 Zr
0.1842 0.8158 0.1842 Zr
0.6250 0.6250 0.1250 Zr
0.0658 0.4342 0.4342 Zr
0.1842 0.1842 0.8158 Zr
0.8158 0.8158 0.1842 Zr
0.4342 0.0658 0.0658 Zr
0.6250 0.1250 0.6250 Zr
0.8158 0.1842 0.1842 Zr
0.1842 0.8158 0.8158 Zr
0.6250 0.6250 0.6250 Zr
0.7709 0.4097 0.4097 Ir
0.8403 0.8403 0.4791 Ir
0.4791 0.8403 0.8403 Ir
0.8403 0.8403 0.8403 Ir
0.4097 0.4097 0.4097 Ir
0.4097 0.4097 0.7709 Ir
0.4097 0.7709 0.4097 Ir
0.8403 0.4791 0.8403 Ir
0.1250 0.1250 0.6250 N
0.1250 0.6250 0.1250 N
0.6250 0.1250 0.1250 N
0.1250 0.1250 0.1250 N
```

Properties
- volume (Å³/f.u.) = 121.9
- energy of formation (eV per atom) = -1.116
- uncorrected energy (eV per atom) = -9.67



No. 2
Below is Na3Ir after structural relaxation, with properties calculated at the PBE-GGA level.

Structure (POSCAR):
```
Na3Ir
1.0
-2.2349 2.2349 4.2905
2.2349 -2.2349 4.2905
2.2349 2.2349 -4.2905
Na Ir
3 1
Direct
0.2500 0.7500 0.5000 Na
0.5000 0.5000 0.0000 Na
0.7500 0.2500 0.5000 Na
0.0000 0.0000 0.0000 Ir
```

Properties
- volume (Å³/f.u.) = 85.7
- energy of formation (eV per atom) = 0.529
- uncorrected energy (eV per atom) = -2.67



No. 3
Below is NaNd2IrO6 after structural relaxation, with properties calculated at the PBE-GGA level.

Structure (POSCAR):
```
NaNd2IrO6
1.0
-5.2076 -2.8163 0.8853
2.4714 -4.8755 -0.9725
4.1127 -5.4477 6.8621
O Nd Ir Na
12 4 2 2
Direct
0.9494 0.3900 0.7326 O
0.8261 0.1505 0.5531 O
0.7182 0.7308 0.4312 O
0.6739 0.1505 0.0531 O
0.0506 0.6100 0.2674 O
0.2818 0.2692 0.5688 O
0.4494 0.6100 0.7674 O
0.7818 0.7308 0.9312 O
0.2182 0.2692 0.0688 O
0.1739 0.8495 0.4469 O
0.5506 0.3900 0.2326 O
0.3261 0.8495 0.9469 O
0.5742 0.2245 0.7538 Nd
0.0742 0.7755 0.7462 Nd
0.9258 0.2245 0.2538 Nd
0.4258 0.7755 0.2462 Nd
0.0000 0.5000 0.5000 Ir
0.5000 0.5000 0.0000 Ir
0.5000 0.0000 0.5000 Na
0.0000 0.0000 0.0000 Na
```

Properties
- volume (Å³/f.u.) = 133.3
- energy of formation (eV per atom) = -2.623
- uncorrected energy (eV per atom) = -7.15



No. 4
Below is Na2IrO3 after structural relaxation, with properties calculated at the PBE-GGA level.

Structure (POSCAR):
```
Na2IrO3
1.0
-4.7932 -2.7715 0.0000
4.7932 -2.7715 0.0000
0.0000 1.8756 5.3187
O Na Ir
6 4 2
Direct
0.9310 0.5600 0.7960 O
0.2995 0.2995 0.7938 O
0.4400 0.0690 0.2040 O
0.0690 0.4400 0.2040 O
0.7005 0.7005 0.2062 O
0.5600 0.9310 0.7960 O
0.0000 0.0000 0.0000 Na
0.1613 0.8387 0.5000 Na
0.8387 0.1613 0.5000 Na
0.5000 0.5000 0.5000 Na
0.6669 0.3331 0.0000 Ir
0.3331 0.6669 0.0000 Ir
```

Properties
- volume (Å³/f.u.) = 70.7
- energy of formation (eV per atom) = -1.549
- uncorrected energy (eV per atom) = -5.59



- Which formula does entry 2 have?
  Na3Ir



- What is the volume in the fourth record?
  70.7 Å³/f.u.